MgMn6O8F4 | GGA+U | relaxed

Output
relative energy among the computed polymorphs: 0.00 eV/f.u.
size of the total moment: 24.00 μB/f.u.

Cell lengths 5.775, 5.959, 7.818 Å; angles 106.17, 98.42, 113.91 degrees
Fractional coordinates of all 19 atoms:
1 Mg 0.000 0.000 0.000
2 Mn 0.005 0.014 0.505
3 Mn 0.021 0.514 0.013
4 Mn 0.344 0.528 0.360
5 Mn 0.389 0.981 0.820
6 Mn 0.652 0.032 0.198
7 Mn 0.699 0.457 0.639
8 O 0.055 0.704 0.839
9 O 0.321 0.320 0.517
10 O 0.371 0.708 0.187
11 O 0.603 0.870 0.931
12 O 0.671 0.300 0.831
13 O 0.712 0.697 0.507
14 O 0.787 0.175 0.463
15 O 0.984 0.313 0.179
16 F 0.130 0.159 0.814
17 F 0.228 0.832 0.534
18 F 0.395 0.189 0.131
19 F 0.931 0.829 0.190